(1)
! La23Mg4Rh7 (PBE-GGA, relaxed); values from VASP
! E_form = -413 meV per atom
! crystal system = hexagonal
! calculated total energy = -5.46 eV per atom
! total moment = 0.00 μB/cell
! space group = No. 186
&SYSTEM
  ibrav = 0, nat = 68, ntyp = 3
/
ATOMIC_SPECIES
La 138.91 La.upf
Mg 24.30 Mg.upf
Rh 102.91 Rh.upf
CELL_PARAMETERS angstrom
10.234 0.000 0.000
-5.117 8.863 0.000
0.000 0.000 23.104
ATOMIC_POSITIONS angstrom
La 0.000 0.000 2.009
La 0.000 0.000 13.561
La -1.943 4.787 0.000
La -1.925 4.797 16.861
La 0.000 2.262 10.445
La -3.158 7.732 10.445
La 0.000 3.644 7.020
La -1.961 7.041 7.020
La 0.000 3.679 20.014
La 0.000 3.683 3.172
La -1.928 7.022 3.172
La -1.931 7.024 20.014
La 0.000 3.724 13.744
La -1.892 7.001 13.744
La 1.959 1.131 21.997
La 0.000 5.909 10.167
La 3.156 1.822 18.571
La 3.186 1.839 8.462
La 3.189 1.841 14.724
La 3.225 1.862 2.192
La 1.925 4.797 16.861
La 0.000 8.132 16.861
La 1.943 4.787 0.000
La 0.000 8.152 0.000
La 5.117 0.711 11.552
La 3.174 4.076 11.552
La 5.117 0.731 5.309
La 3.192 4.066 5.309
La 1.892 7.001 13.744
La 1.928 7.022 3.172
La 1.931 7.024 20.014
La 1.961 7.041 7.020
La 5.117 2.954 21.718
La 3.158 7.732 10.445
La 7.009 1.862 2.192
La 5.117 5.139 2.192
La 7.048 1.839 8.462
La 7.045 1.841 14.724
La 5.117 5.180 14.724
La 5.117 5.184 8.462
La 7.078 1.822 18.571
La 5.117 5.219 18.571
La 8.275 1.131 21.997
La 5.117 6.601 21.997
La 7.042 4.066 5.309
La 7.060 4.076 11.552
Mg 0.000 0.000 7.748
Mg 0.000 0.000 19.300
Mg 0.000 1.877 16.705
Mg -3.492 7.925 16.705
Mg 1.625 0.938 5.153
Mg 3.492 7.925 16.705
Mg 8.609 0.938 5.153
Mg 5.117 6.986 5.153
Rh -2.251 4.609 8.641
Rh 0.000 2.543 0.533
Rh -2.915 7.592 0.533
Rh 2.202 1.271 12.085
Rh 0.000 5.909 5.087
Rh 2.251 4.609 8.641
Rh 0.000 8.508 8.641
Rh 5.117 0.355 20.193
Rh 2.866 4.254 20.193
Rh 5.117 2.954 16.639
Rh 2.915 7.592 0.533
Rh 8.032 1.271 12.085
Rh 5.117 6.320 12.085
Rh 7.368 4.254 20.193



(2)
! PrSmIn2 (PBE-GGA, relaxed); values from VASP
! E_form = -467 meV per atom
! crystal system = cubic
! calculated total energy = -4.22 eV per atom
! space group = No. 225
&SYSTEM
  ibrav = 0, nat = 4, ntyp = 3
/
ATOMIC_SPECIES
Pr 140.91 Pr.upf
Sm 150.36 Sm.upf
In 114.82 In.upf
CELL_PARAMETERS angstrom
0.000 3.940 3.940
3.940 0.000 3.940
3.940 3.940 0.000
ATOMIC_POSITIONS angstrom
Pr 0.000 0.000 0.000
Sm 3.940 3.940 3.940
In 1.970 1.970 1.970
In 5.910 5.910 5.910



(3)
! NaMg14BO15 (PBE-GGA, relaxed); values from VASP
! E_form = -2715 meV per atom
! crystal system = orthorhombic
! E above lowest polymorph = 25.4 meV/atom
! calculated total energy = -5.76 eV per atom
! total moment = 0.00 μB/cell
! space group = No. 25
&SYSTEM
  ibrav = 0, nat = 31, ntyp = 4
/
ATOMIC_SPECIES
Na 22.99 Na.upf
Mg 24.30 Mg.upf
B 10.81 B.upf
O 16.00 O.upf
CELL_PARAMETERS angstrom
4.343 0.000 0.000
0.000 8.494 0.000
0.000 0.000 8.554
ATOMIC_POSITIONS angstrom
Na 0.000 0.000 0.000
Mg 0.000 0.000 4.410
Mg 0.000 2.065 2.119
Mg 0.000 2.290 6.487
Mg 0.000 4.247 0.050
Mg 0.000 6.203 6.487
Mg 0.000 6.429 2.119
Mg 2.171 0.000 2.170
Mg 2.171 0.000 6.449
Mg 2.171 2.097 0.036
Mg 2.171 2.265 4.304
Mg 2.171 4.247 2.164
Mg 2.171 4.247 6.418
Mg 2.171 6.229 4.304
Mg 2.171 6.396 0.036
B 0.000 4.247 3.801
O 0.000 0.000 2.411
O 0.000 2.230 0.084
O 0.000 2.815 4.241
O 0.000 4.247 2.325
O 0.000 4.247 6.630
O 0.000 5.679 4.241
O 0.000 6.263 0.084
O 2.171 0.000 0.000
O 2.171 0.000 4.321
O 2.171 2.110 2.200
O 2.171 2.147 6.412
O 2.171 4.247 0.121
O 2.171 4.247 4.208
O 2.171 6.347 6.412
O 2.171 6.383 2.200



(4)
! MgV2S4 (PBE-GGA, relaxed); values from VASP
! E_form = -1200 meV per atom
! crystal system = trigonal
! E above lowest polymorph = 72.7 meV/atom
! calculated total energy = -6.10 eV per atom
! total moment = 0.00 μB/cell
! space group = No. 164
&SYSTEM
  ibrav = 0, nat = 7, ntyp = 3
/
ATOMIC_SPECIES
Mg 24.30 Mg.upf
V 50.94 V.upf
S 32.06 S.upf
CELL_PARAMETERS angstrom
3.264 0.000 0.000
-1.632 2.827 0.000
0.000 0.000 12.992
ATOMIC_POSITIONS angstrom
Mg 0.000 0.000 0.000
V 0.000 1.884 9.791
V 1.632 0.942 3.201
S 0.000 1.884 1.680
S 0.000 1.884 4.653
S 1.632 0.942 8.339
S 1.632 0.942 11.312



(5)
! In3Pd5 (PBE-GGA, relaxed); values from VASP
! E_form = -521 meV per atom
! crystal system = orthorhombic
! calculated total energy = -4.79 eV per atom
! space group = No. 55
&SYSTEM
  ibrav = 0, nat = 16, ntyp = 2
/
ATOMIC_SPECIES
In 114.82 In.upf
Pd 106.42 Pd.upf
CELL_PARAMETERS angstrom
5.773 0.000 0.000
0.000 11.277 0.000
0.000 0.000 4.246
ATOMIC_POSITIONS angstrom
In 0.000 0.000 0.000
In 1.052 4.051 2.123
In 1.834 9.689 2.123
In 2.886 5.638 0.000
In 3.939 1.588 2.123
In 4.720 7.226 2.123
Pd 0.000 5.638 0.000
Pd 0.350 8.532 0.000
Pd 1.193 1.277 2.123
Pd 1.694 6.915 2.123
Pd 2.536 2.894 0.000
Pd 2.886 0.000 0.000
Pd 3.237 8.383 0.000
Pd 4.079 4.361 2.123
Pd 4.580 10.000 2.123
Pd 5.422 2.744 0.000



(6)
! Na3ZrGaSi2SO12 (PBE-GGA, relaxed); values from VASP
! E_form = -2679 meV per atom
! calculated total energy = -6.76 eV per atom
! total moment = 0.00 μB/cell
&SYSTEM
  ibrav = 0, nat = 120, ntyp = 6
/
ATOMIC_SPECIES
O 16.00 O.upf
S 32.06 S.upf
Si 28.09 Si.upf
Na 22.99 Na.upf
Zr 91.22 Zr.upf
Ga 69.72 Ga.upf
CELL_PARAMETERS angstrom
-2.216 -8.182 -3.216
7.880 1.226 4.313
-10.362 -5.386 19.346
ATOMIC_POSITIONS angstrom
O 3.862 -0.898 3.705
O -6.859 -6.057 20.325
O -1.955 -5.895 1.359
O -8.088 -4.950 18.257
O -4.968 -8.001 17.893
O 1.198 -7.513 6.722
O 2.114 -1.491 11.554
O -0.663 -4.233 8.050
O -5.945 -4.944 13.717
O -8.071 -9.558 12.983
O -4.037 -6.753 21.406
O -2.043 -4.554 10.318
O -7.056 -9.569 17.904
O -0.574 -5.573 -0.908
O -5.256 -6.406 9.362
O -3.859 -9.434 3.489
O -8.673 -11.546 16.562
O -2.377 -3.794 12.882
O -9.569 -8.722 16.881
O 2.712 -6.520 4.717
O -4.763 -6.060 15.618
O 4.714 -3.447 3.579
O -0.119 -5.064 13.611
O -6.368 -4.704 10.819
O 2.024 -5.059 9.071
O -2.172 -6.515 12.425
O -4.348 -11.395 16.060
O 0.525 -7.303 2.104
O -1.600 -8.836 12.235
O -2.652 -7.781 10.385
O 5.305 -1.275 7.505
O 2.203 -2.831 2.596
O 0.437 -5.962 11.062
O 2.113 -6.400 0.113
O -4.880 -9.342 8.934
O -6.771 -7.398 11.367
O 0.115 -1.886 1.891
O -1.205 -8.943 15.153
O -0.030 -6.405 4.653
O 0.206 -2.908 11.551
O -2.279 -7.387 16.591
O -2.261 -5.175 21.383
O -5.831 -10.190 11.285
O -0.752 -2.892 17.008
O 3.218 -2.843 7.516
O -6.411 -7.624 14.093
O -5.560 -10.173 13.967
O -6.967 -10.910 8.946
O -2.714 -4.614 17.044
O -2.191 -8.727 7.633
O 1.100 -2.101 9.411
O -2.083 -7.856 3.467
O -0.347 -0.940 4.643
O -3.526 -3.349 5.543
O -2.288 -5.135 3.924
O -3.948 -8.094 12.448
O -2.625 -5.955 8.086
O -5.345 -5.065 18.321
O 1.601 -4.819 6.174
O 0.295 -4.249 2.593
O 1.557 -7.739 9.448
O -4.675 -7.400 6.660
O -5.920 -8.850 20.243
O -2.536 -7.295 -0.872
O -3.255 -3.333 8.224
O -2.741 -6.440 19.343
O -9.978 -10.975 12.981
O 1.189 -3.442 0.452
O 3.294 -7.515 2.014
O -4.682 -10.636 18.624
O 0.705 -1.995 6.493
O -7.531 -5.847 15.707
S -9.338 -9.853 12.265
S -2.530 -9.158 2.907
S 0.935 -3.126 1.877
S 0.847 -1.785 10.836
S -2.619 -7.818 11.866
S -2.707 -6.476 20.824
Si -2.072 -5.796 -0.270
Si 1.318 -6.333 5.584
Si -6.740 -4.878 19.188
Si -3.208 -3.785 3.998
Si -5.602 -9.286 18.699
Si -5.513 -10.627 9.740
Si 1.862 -7.618 1.202
Si -2.161 -4.456 8.688
Si -6.195 -6.162 14.806
Si 1.773 -6.277 10.160
Si -4.466 -11.297 14.431
Si -6.651 -6.219 10.230
Na -0.528 -7.037 8.604
Na -4.728 -3.534 15.951
Na 1.776 -0.196 2.861
Na -4.639 -4.875 6.992
Na -7.213 -9.480 15.404
Na -3.974 -5.075 11.609
Na -4.908 -2.639 9.662
Na -7.729 -7.249 17.886
Na 3.330 -4.989 2.347
Na 0.328 -8.704 4.282
Na 0.239 -7.364 13.240
Na -2.281 -5.249 14.658
Na -8.497 -6.922 13.249
Na 3.994 -5.190 6.963
Na -2.193 -6.590 5.700
Na -6.279 -11.917 17.351
Na 3.061 -2.754 5.016
Na -4.586 -12.091 20.401
Zr -9.019 -10.452 18.208
Zr -4.032 -6.288 17.473
Zr 4.025 -7.743 3.869
Zr -3.944 -7.629 8.514
Zr -6.714 -3.610 12.465
Zr 1.255 -3.725 7.820
Ga -0.877 -4.656 11.842
Ga -0.788 -5.997 2.883
Ga -5.911 -8.761 12.568
Ga 4.362 -2.035 2.180
Ga -3.606 -1.920 6.825
Ga -3.181 -11.497 17.584